# ZrCd2H12O6F8

Crystalline ZrCd2H12O6F8 at its relaxed geometry (PBE, the Materials Project database).

a b c (Å): 7.1622 7.1622 12.8306
angles (deg): 72.92 72.92 71.60
Last column: nearest neighbours and their distance in Å.
Sites, in units of the cell vectors:
O: 0.7662 0.8229 0.0525  2 H 1.00
O: 0.6699 0.2711 0.1066  2 H 0.99-1.00
O: 0.2711 0.6699 0.6066  2 H 0.99-1.00
O: 0.8229 0.7662 0.5525  2 H 1.00
O: 0.7289 0.3301 0.3934  2 H 0.99-1.00
O: 0.1771 0.2338 0.4475  2 H 1.00
O: 0.0281 0.5786 0.8747  2 H 0.99
O: 0.5786 0.0281 0.3747  2 H 0.99
O: 0.2338 0.1771 0.9475  2 H 1.00
O: 0.9719 0.4214 0.1253  2 H 0.99
O: 0.3301 0.7289 0.8934  2 H 0.99-1.00
O: 0.4214 0.9719 0.6253  2 H 0.99
Zr: 0.7648 0.2352 0.7500  8 F 2.15-2.16
Zr: 0.2352 0.7648 0.2500  8 F 2.15-2.16
H: 0.8872 0.3504 0.1107  1 O 0.99
H: 0.8176 0.6312 0.5480  1 O 1.00
H: 0.6467 0.4611 0.3578  1 O 1.00
H: 0.9048 0.5667 0.1035  1 O 0.99
H: 0.0955 0.1741 0.5198  1 O 1.00
H: 0.6312 0.8176 0.0480  1 O 1.00
H: 0.0952 0.4333 0.8965  1 O 0.99
H: 0.9045 0.8259 0.4802  1 O 1.00
H: 0.6496 0.1128 0.3893  1 O 0.99
H: 0.5667 0.9048 0.6035  1 O 0.99
H: 0.3504 0.8872 0.6107  1 O 0.99
H: 0.5389 0.3533 0.1422  1 O 1.00
H: 0.3533 0.5389 0.6422  1 O 1.00
H: 0.1128 0.6496 0.8893  1 O 0.99
H: 0.3688 0.1824 0.9520  1 O 1.00
H: 0.7347 0.3450 0.4669  1 O 0.99
H: 0.1741 0.0955 0.0198  1 O 1.00
H: 0.4333 0.0952 0.3965  1 O 0.99
H: 0.4611 0.6467 0.8578  1 O 1.00
H: 0.3450 0.7347 0.9669  1 O 0.99
H: 0.1824 0.3688 0.4520  1 O 1.00
H: 0.6550 0.2653 0.0331  1 O 0.99
H: 0.8259 0.9045 0.9802  1 O 1.00
H: 0.2653 0.6550 0.5331  1 O 0.99
Cd: 0.7080 0.9358 0.2113  3 O 2.23-2.36, 3 F 2.35-2.39
Cd: 0.9358 0.7080 0.7113  3 O 2.23-2.36, 3 F 2.35-2.39
Cd: 0.0642 0.2920 0.2887  3 O 2.23-2.36, 3 F 2.35-2.39
Cd: 0.2920 0.0642 0.7887  3 O 2.23-2.36, 3 F 2.35-2.39
F: 0.6768 0.5386 0.7734  1 H 1.71
F: 0.9763 0.0431 0.6425  1 H 1.71
F: 0.5386 0.6768 0.2734  1 H 1.71
F: 0.9634 0.6667 0.2857  1 Zr 2.16, 1 Cd 2.39
F: 0.0431 0.9763 0.1425  1 H 1.71
F: 0.9569 0.0237 0.8575  1 H 1.71
F: 0.6667 0.9634 0.7857  1 Zr 2.16, 1 Cd 2.39
F: 0.5972 0.2270 0.9194  2 H 1.67-1.74
F: 0.4614 0.3232 0.7266  1 H 1.71
F: 0.0237 0.9569 0.3575  1 H 1.71
F: 0.7730 0.4028 0.5806  2 H 1.67-1.74
F: 0.3333 0.0366 0.2143  1 Zr 2.16, 1 Cd 2.39
F: 0.3232 0.4614 0.2266  1 H 1.71
F: 0.2270 0.5972 0.4194  2 H 1.67-1.74
F: 0.0366 0.3333 0.7143  1 Zr 2.16, 1 Cd 2.39
F: 0.4028 0.7730 0.0806  2 H 1.67-1.74

Properties
calculated formation energy = -2.0084 eV/atom
energy = -5.053 eV per atom
M_tot = 0.00 μB per atom

# BaHfMg6

Crystalline BaHfMg6 at its relaxed geometry (PBE, the Materials Project database).

a b c (Å): 6.7006 6.7006 4.7665
angles (deg): 90.00 90.00 90.00
Last column: nearest neighbours and their distance in Å.
Sites, in units of the cell vectors:
Ba: 0.5000 0.5000 0.5000  12 Mg 3.35-3.56
Mg: 0.5000 0.0000 0.5000  2 Ba 3.35, 2 Hf 3.35, 8 Mg 3.37
Mg: 0.2209 0.7791 0.0000  2 Mg 2.96, 2 Hf 3.17
Mg: 0.7791 0.7791 0.0000  2 Mg 2.96, 2 Hf 3.17
Mg: 0.7791 0.2209 0.0000  2 Mg 2.96, 2 Hf 3.17
Mg: 0.2209 0.2209 0.0000  2 Mg 2.96, 2 Hf 3.17
Mg: 0.0000 0.5000 0.5000  2 Ba 3.35, 2 Hf 3.35, 8 Mg 3.37
Hf: 0.0000 0.0000 0.5000  12 Mg 3.17-3.35

Properties
energy relative to the lowest polymorph listed for this composition = 0.0 kJ per mole of atoms
calculated formation energy = 0.1637 eV/atom
energy = -2.521 eV per atom
M_tot = 0.00 μB per atom

# AuBr

Crystalline AuBr at its relaxed geometry (PBE, the Materials Project database).

a b c (Å): 4.3798 4.3798 13.2974
angles (deg): 90.00 90.00 90.00
Last column: nearest neighbours and their distance in Å.
Sites, in units of the cell vectors:
Au: 0.7500 0.2500 0.7500  2 Br 2.49
Au: 0.7500 0.7500 0.2500  2 Br 2.49
Au: 0.2500 0.7500 0.7500  2 Br 2.49
Au: 0.2500 0.2500 0.2500  2 Br 2.49
Br: 0.5000 0.0000 0.3968  2 Au 2.49
Br: 0.5000 0.0000 0.8968  2 Au 2.49
Br: 0.0000 0.5000 0.6032  2 Au 2.49
Br: 0.0000 0.5000 0.1032  2 Au 2.49

Properties
calculated formation energy = -0.4030 eV/atom
energy = -2.591 eV per atom

# Li6Nb3P8O29

Crystalline Li6Nb3P8O29 at its relaxed geometry (PBE, the Materials Project database).

a b c (Å): 10.0226 10.0257 13.9703
angles (deg): 90.42 89.90 119.92
Last column: nearest neighbours and their distance in Å.
Sites, in units of the cell vectors:
O: 0.6277 0.5314 0.6670  1 P 1.53
O: 0.9131 0.3742 0.6686  1 P 1.56
O: 0.7923 0.7887 0.7500  2 P 1.61-1.63
O: 0.7747 0.9839 0.0749  1 P 1.50
O: 0.7496 0.6720 0.1556  1 P 1.55
O: 0.0995 0.6312 0.3337  1 P 1.54
O: 0.7925 0.0072 0.2554  2 P 1.62
O: 0.5129 0.3218 0.8407  1 P 1.57
O: 0.3754 0.4652 0.3370  1 P 1.54
O: 0.7567 0.0825 0.6557  1 P 1.54
O: 0.6705 0.9148 0.8436  1 P 1.52
O: 0.8920 0.5254 0.1652  1 P 1.56
O: 0.2133 0.2115 0.2494  2 P 1.61-1.62
O: 0.6644 0.3348 0.9868  1 P 1.50
O: 0.7784 0.7713 0.9319  1 P 1.52
O: 0.6642 0.3370 0.4845  1 P 1.48
O: 0.9983 0.7877 0.2485  2 P 1.62
O: 0.1925 0.6804 0.6609  1 P 1.59
O: 0.5353 0.9096 0.3361  1 P 1.54
O: 0.9191 0.6724 0.6525  1 P 1.55
O: 0.9960 0.2066 0.7553  2 P 1.61-1.62
O: 0.2215 0.9953 0.5650  1 P 1.52
O: 0.0850 0.3287 0.3437  1 P 1.52
O: 0.6748 0.7560 0.3430  1 P 1.55
O: 0.4805 0.6687 0.1633  1 P 1.59
O: 0.5162 0.1880 0.3354  1 P 1.58
O: 0.3684 0.9036 0.8333  1 P 1.53
O: 0.2264 0.2319 0.0684  1 P 1.52
O: 0.3289 0.0805 0.1553  1 P 1.52
O: 0.2053 0.9955 0.7458  2 P 1.61-1.64
O: 0.3228 0.5176 0.6624  1 P 1.58
O: 0.6365 0.1077 0.1662  1 P 1.57
O: 0.7703 0.7763 0.5678  1 P 1.52
O: 0.0074 0.2251 0.9377  1 P 1.50
O: 0.5342 0.6251 0.8322  1 P 1.54
O: 0.0151 0.2210 0.5745  1 P 1.50
O: 0.9234 0.2444 0.1545  1 P 1.54
O: 0.4761 0.3662 0.1662  1 P 1.56
O: 0.2273 0.2195 0.4322  1 P 1.52
O: 0.4850 0.8128 0.6651  1 P 1.59
O: 0.4658 0.0904 0.6657  1 P 1.53
O: 0.2433 0.9221 0.3443  1 P 1.54
O: 0.0954 0.4666 0.8335  1 P 1.53
O: 0.9924 0.7720 0.4313  1 P 1.52
O: 0.9957 0.7727 0.0647  1 P 1.50
O: 0.2493 0.3300 0.8427  1 P 1.57
O: 0.0795 0.7526 0.8417  1 P 1.56
O: 0.3321 0.6583 0.0146  1 P 1.48
O: 0.6688 0.4822 0.3359  1 P 1.59
O: 0.6740 0.1955 0.8339  1 P 1.58
O: 0.3375 0.6703 0.5141  1 P 1.49
O: 0.3300 0.2459 0.6544  1 P 1.56
O: 0.3297 0.8055 0.1676  1 P 1.58
O: 0.1861 0.5160 0.1646  1 P 1.59
O: 0.7790 0.9976 0.4384  1 P 1.51
O: 0.8071 0.4868 0.8411  1 P 1.56
O: 0.8067 0.3334 0.3298  1 P 1.59
O: 0.2167 0.0108 0.9260  1 P 1.50
P: 0.0845 0.3106 0.8478  4 O 1.50-1.61
P: 0.3355 0.6698 0.6209  4 O 1.49-1.59
P: 0.9121 0.6886 0.1532  4 O 1.50-1.62
P: 0.0841 0.7756 0.3436  4 O 1.52-1.62
P: 0.3301 0.6623 0.1203  4 O 1.48-1.59
P: 0.6634 0.3326 0.3786  4 O 1.48-1.59
P: 0.2257 0.3092 0.3453  4 O 1.52-1.62
P: 0.6902 0.7742 0.8443  4 O 1.52-1.63
P: 0.6920 0.9185 0.3484  4 O 1.51-1.62
P: 0.7730 0.6879 0.6550  4 O 1.52-1.61
P: 0.2235 0.9175 0.8437  4 O 1.50-1.64
P: 0.3119 0.2229 0.1554  4 O 1.52-1.61
P: 0.6669 0.3360 0.8794  4 O 1.50-1.58
P: 0.3100 0.0815 0.6542  4 O 1.52-1.61
P: 0.9196 0.2230 0.6570  4 O 1.50-1.62
P: 0.7786 0.0833 0.1567  4 O 1.50-1.62
Nb: 0.4321 0.9940 0.2462  6 O 1.97-2.15
Nb: 0.9983 0.4320 0.2545  6 O 1.97-2.15
Nb: 0.5626 0.5662 0.2507  6 O 2.02-2.10
Nb: 0.4318 0.4320 0.7498  6 O 2.03-2.10
Nb: 0.5692 0.0037 0.7553  6 O 1.99-2.15
Nb: 0.0008 0.5661 0.7485  6 O 2.00-2.13
Li: 0.9912 0.0185 0.4971  3 O 2.19-2.40
Li: 0.7684 0.6720 0.4392  4 O 1.95-2.18
Li: 0.9067 0.6750 0.9403  4 O 1.96-2.14
Li: 0.3306 0.0981 0.4394  4 O 1.95-2.17
Li: 0.3263 0.2281 0.9387  3 O 1.90-2.08
Li: 0.0947 0.3270 0.0588  3 O 1.94-2.00
Li: 0.9993 0.0009 0.9986  6 O 2.36-2.49
Li: 0.6682 0.3286 0.1157  1 O 1.80
Li: 0.2304 0.3341 0.5593  3 O 1.88-2.11
Li: 0.6709 0.9066 0.5596  4 O 1.98-2.19
Li: 0.1006 0.7689 0.5599  4 O 1.97-2.11
Li: 0.6700 0.7702 0.0575  3 O 1.87-2.07

Properties
calculated formation energy = -2.7077 eV/atom
energy = -7.243 eV per atom
M_tot = 0.07 μB per atom

# HfSiNi

Crystalline HfSiNi at its relaxed geometry (PBE, the Materials Project database).

a b c (Å): 4.1518 4.1518 4.1518
angles (deg): 60.00 60.00 60.00
Last column: nearest neighbours and their distance in Å.
Sites, in units of the cell vectors:
Si: 0.2500 0.2500 0.2500  4 Ni 2.54, 4 Hf 2.54
Hf: 0.0000 0.0000 0.0000  4 Si 2.54
Ni: 0.5000 0.5000 0.5000  4 Si 2.54

Properties
calculated formation energy = -0.3011 eV/atom
energy = -7.355 eV per atom
M_tot = 0.00 μB per atom

# SmAl

Crystalline SmAl at its relaxed geometry (PBE, the Materials Project database).

a b c (Å): 5.7081 5.9388 11.6877
angles (deg): 90.00 90.00 90.00
Last column: nearest neighbours and their distance in Å.
Sites, in units of the cell vectors:
Al: 0.2500 0.6650 0.6005  2 Al 2.75
Al: 0.5000 0.0703 0.2500  4 Al 2.75-2.85
Al: 0.5000 0.9297 0.7500  4 Al 2.75-2.85
Al: 0.0000 0.0703 0.2500  4 Al 2.75-2.85
Al: 0.2500 0.3350 0.1005  2 Al 2.75
Al: 0.7500 0.6650 0.8995  2 Al 2.75
Al: 0.7500 0.3350 0.3995  2 Al 2.75
Al: 0.0000 0.9297 0.7500  4 Al 2.75-2.85
Sm: 0.7500 0.5964 0.1668  6 Al 3.13-3.34, 3 Sm 3.32-3.45
Sm: 0.7500 0.4036 0.6668  6 Al 3.13-3.34, 3 Sm 3.32-3.45
Sm: 0.7500 0.8370 0.4873  8 Al 3.13-3.43, 3 Sm 3.32-3.46
Sm: 0.2500 0.8370 0.0127  8 Al 3.13-3.43, 3 Sm 3.32-3.46
Sm: 0.2500 0.4036 0.8332  6 Al 3.13-3.34, 3 Sm 3.32-3.45
Sm: 0.2500 0.5964 0.3332  6 Al 3.13-3.34, 3 Sm 3.32-3.45
Sm: 0.2500 0.1630 0.5127  8 Al 3.13-3.43, 3 Sm 3.32-3.46
Sm: 0.7500 0.1630 0.9873  8 Al 3.13-3.43, 3 Sm 3.32-3.46

Properties
calculated formation energy = -0.4047 eV/atom
energy = -4.637 eV per atom